No. 1
Density functional theory data (GGA-PBE) for an optimized crystal structure of Cs4Pr6C2I13.

The structure in extended XYZ format:
```
50
Lattice="8.052 3.807 11.400 -9.797 8.112 -6.891 -8.357 -10.329 5.724" Properties=species:S:1:pos:R:3 pbc="T T T"
I -9.891 5.971 -1.363
Cs -6.679 3.214 -1.907
I -8.731 -6.289 3.870
I -4.453 8.623 3.205
I 0.000 0.000 0.000
Pr -0.181 -3.067 8.635
I 2.471 -1.019 12.824
Cs -7.267 2.933 7.782
I -0.982 3.890 7.885
I -3.277 -3.709 8.336
Pr -3.394 5.670 2.099
C -0.683 0.365 9.933
Cs -7.056 7.451 -4.082
C -0.967 6.606 2.499
I -3.636 2.557 0.909
I -6.541 -0.941 9.332
I -9.616 -0.207 6.095
I -0.479 1.788 4.058
Pr -0.912 5.037 4.623
Cs 5.311 4.468 8.591
Pr -1.281 8.746 3.308
I -6.806 5.168 1.847
Pr -9.184 -3.482 5.596
I -3.648 0.457 6.554
I -4.036 4.462 4.989
Pr -0.465 3.173 1.200
C -0.778 5.314 2.010
I -9.513 1.872 0.544
Pr -0.996 2.505 10.743
I -3.752 -1.779 12.424
I -12.286 -1.468 -0.778
Pr -0.633 -1.168 12.071
I 2.575 1.217 6.954
I -5.878 -0.686 -0.366
C -0.494 -0.927 9.445
I -6.065 -2.871 5.243
Cs -6.772 1.210 3.353
Cs -12.348 0.530 2.994
Pr -6.714 -4.044 8.147
Pr -3.104 -0.606 9.520
Cs -2.835 -1.342 2.451
I -1.367 7.820 6.415
I -9.999 3.669 4.681
Cs -12.255 2.533 -2.265
Pr 1.932 0.009 9.844
I -3.932 6.698 -0.881
Pr -0.549 0.642 7.320
I 2.187 5.222 5.389
I -5.584 -6.989 7.045
I -9.139 -2.169 2.398
```

---

No. 2
Density functional theory data (GGA-PBE) for an optimized crystal structure of CsPr3CI6.

The structure in extended XYZ format:
```
22
Lattice="8.950 -3.293 -1.516 3.541 9.016 0.674 -0.891 -3.946 9.431" Properties=species:S:1:pos:R:3 pbc="T T T"
C 11.529 1.866 7.895
I 9.045 -0.118 5.396
I 5.349 -4.776 5.287
I 6.905 -1.614 2.145
I 4.695 3.391 6.445
Pr 0.326 -0.368 3.009
I 0.828 -1.064 6.368
I 6.251 6.553 3.303
I 10.773 2.841 2.221
C 0.072 -0.090 0.694
Pr 1.621 1.974 0.099
I 3.493 -3.432 8.913
I 2.556 1.895 3.193
Pr 11.275 2.145 5.580
Pr 6.094 -5.648 8.331
Pr 5.507 7.424 0.259
Pr 9.979 -0.197 8.491
Cs 4.893 -0.846 5.875
I 7.650 -2.841 8.500
Cs 6.708 2.623 2.714
I 3.951 4.618 0.090
I 8.108 5.209 -0.323
```

---

The following formation enthalpy at 0 K values (in eV per atom) correspond, in order, to the records above: -1.51 -1.54.